P | ! Dy6MgSb10O24, optimized geometry, DFT PBE-GGA; values from VASP
&SYSTEM
  ibrav = 0, nat = 41, ntyp = 4
/
ATOMIC_SPECIES
Sb 121.76 Sb.upf
O 16.00 O.upf
Dy 162.50 Dy.upf
Mg 24.30 Mg.upf
CELL_PARAMETERS angstrom
0.7316 6.8868 6.8196
-8.7828 -3.2468 -0.3965
5.7551 -7.1308 1.9662
ATOMIC_POSITIONS crystal
Sb 0.0049 0.2864 0.2864
Sb 0.2463 0.0000 0.2991
Sb 0.2463 0.2991 0.0000
Sb 0.4690 0.4757 0.4757
Sb 0.5782 0.0000 0.0000
Sb 0.9933 0.5243 0.0000
Sb 0.7185 0.7136 0.0000
Sb 0.9473 0.7009 0.7009
Sb 0.7185 0.0000 0.7136
Sb 0.9933 0.0000 0.5243
O 0.0088 0.2034 0.4845
O 0.5101 0.6997 0.0000
O 0.8054 0.2811 0.7966
O 0.9905 0.7001 0.5086
O 0.5096 0.1847 0.0000
O 0.8103 0.3003 0.3003
O 0.2022 0.5111 0.0000
O 0.8054 0.7966 0.2811
O 0.7031 0.0000 0.4965
O 0.0088 0.4845 0.2034
O 0.6912 0.4889 0.4889
O 0.9905 0.5086 0.7001
O 0.5101 0.0000 0.6997
O 0.5243 0.5155 0.7189
O 0.5243 0.7189 0.5155
O 0.2022 0.0000 0.5111
O 0.2904 0.8085 0.2999
O 0.2904 0.2999 0.8085
O 0.7031 0.4965 0.0000
O 0.4820 0.1915 0.4914
O 0.2066 0.5035 0.5035
O 0.4820 0.4914 0.1915
O 0.3249 0.8153 0.8153
O 0.5096 0.0000 0.1847
Dy 0.7314 0.2432 0.4879
Dy 0.2435 0.5121 0.7553
Dy 0.4881 0.7568 0.2447
Dy 0.7314 0.4879 0.2432
Dy 0.4881 0.2447 0.7568
Dy 0.2435 0.7553 0.5121
Mg 0.3081 0.0000 0.0000
! Size of the total moment in μB/f.u.: 0.0

Q | ! Dy6MgSb10O24, optimized geometry, DFT PBE-GGA; values from VASP
&SYSTEM
  ibrav = 0, nat = 41, ntyp = 4
/
ATOMIC_SPECIES
Sb 121.76 Sb.upf
O 16.00 O.upf
Dy 162.50 Dy.upf
Mg 24.30 Mg.upf
CELL_PARAMETERS angstrom
-5.4577 5.4880 5.4880
5.4577 -5.4880 5.4880
5.4577 5.4880 -5.4880
ATOMIC_POSITIONS crystal
Sb 0.2808 0.2808 0.0000
Sb 0.0000 0.9950 0.5068
Sb 0.0000 0.2450 0.2450
Sb 0.5118 0.0050 0.0050
Sb 0.4882 0.4932 0.4932
Sb 0.0000 0.7550 0.7550
Sb 0.0000 0.5068 0.9950
Sb 0.2808 0.0000 0.2808
Sb 0.7192 0.0000 0.7192
Sb 0.7192 0.7192 0.0000
O 0.5066 0.0057 0.7107
O 0.2029 0.4750 0.9907
O 0.5157 0.7279 0.5250
O 0.7050 0.5009 0.9943
O 0.2029 0.9907 0.4750
O 0.2009 0.5026 0.5026
O 0.4934 0.2042 0.4991
O 0.7050 0.9943 0.5009
O 0.2950 0.2893 0.7958
O 0.5157 0.5250 0.7279
O 0.0000 0.1870 0.4548
O 0.7971 0.2721 0.7878
O 0.4934 0.4991 0.2042
O 0.0000 0.6983 0.4974
O 0.7322 0.5452 0.5452
O 0.0000 0.4974 0.6983
O 0.7971 0.7878 0.2721
O 0.5066 0.7107 0.0057
O 0.0000 0.4548 0.1870
O 0.4843 0.0093 0.2122
O 0.4843 0.2122 0.0093
O 0.2678 0.8130 0.8130
O 0.7991 0.3017 0.3017
O 0.2950 0.7958 0.2893
Dy 0.7369 0.5000 0.2369
Dy 0.2631 0.7631 0.5000
Dy 0.2631 0.5000 0.7631
Dy 0.5000 0.7500 0.2500
Dy 0.5000 0.2500 0.7500
Dy 0.7369 0.2369 0.5000
Mg 0.0000 0.5000 0.5000
! Size of the total moment in μB/f.u.: 2.0

Which one sits at the bottom of the stability order? Q does.

P | ! Na3DyTi2Nb2O12, optimized geometry, DFT PBE-GGA; values from VASP
&SYSTEM
  ibrav = 0, nat = 40, ntyp = 5
/
ATOMIC_SPECIES
O 16.00 O.upf
Dy 162.50 Dy.upf
Ti 47.87 Ti.upf
Nb 92.91 Nb.upf
Na 22.99 Na.upf
CELL_PARAMETERS angstrom
5.4723 0.0000 0.0000
0.0000 5.6328 0.0000
0.0000 0.0000 15.4761
ATOMIC_POSITIONS crystal
O 0.9466 0.1941 0.1363
O 0.0534 0.6941 0.8637
O 0.4511 0.2816 0.9074
O 0.1516 0.9652 0.0000
O 0.5489 0.7816 0.0926
O 0.5489 0.7816 0.9074
O 0.3226 0.0208 0.2455
O 0.0329 0.7212 0.3528
O 0.6774 0.5208 0.7545
O 0.1718 0.9905 0.5000
O 0.5353 0.7857 0.6069
O 0.0534 0.6941 0.1363
O 0.5353 0.7857 0.3931
O 0.6774 0.5208 0.2455
O 0.0329 0.7212 0.6472
O 0.4647 0.2857 0.6069
O 0.4511 0.2816 0.0926
O 0.9466 0.1941 0.8637
O 0.9671 0.2212 0.6472
O 0.3226 0.0208 0.7545
O 0.8484 0.4652 0.0000
O 0.4647 0.2857 0.3931
O 0.8282 0.4905 0.5000
O 0.9671 0.2212 0.3528
Dy 0.7355 0.0681 0.0000
Dy 0.2645 0.5681 0.0000
Ti 0.2348 0.0299 0.1265
Ti 0.2348 0.0299 0.8735
Ti 0.7652 0.5299 0.1265
Ti 0.7652 0.5299 0.8735
Nb 0.7475 0.4813 0.6274
Nb 0.2525 0.9813 0.6274
Nb 0.7475 0.4813 0.3726
Nb 0.2525 0.9813 0.3726
Na 0.7421 0.0130 0.5000
Na 0.2459 0.4672 0.7517
Na 0.7541 0.9672 0.2483
Na 0.7541 0.9672 0.7517
Na 0.2579 0.5130 0.5000
Na 0.2459 0.4672 0.2483
! Size of the total moment in μB/f.u.: 0.0

Q | ! Na3DyTi2Nb2O12, optimized geometry, DFT PBE-GGA; values from VASP
&SYSTEM
  ibrav = 0, nat = 20, ntyp = 5
/
ATOMIC_SPECIES
Ti 47.87 Ti.upf
Nb 92.91 Nb.upf
O 16.00 O.upf
Na 22.99 Na.upf
Dy 162.50 Dy.upf
CELL_PARAMETERS angstrom
-0.7816 -3.9559 -3.6543
2.8702 -3.6002 3.1693
-6.5497 -2.0592 3.6230
ATOMIC_POSITIONS crystal
Ti 0.0039 0.4763 0.4930
Ti 0.4888 0.9823 0.0073
Nb 0.4939 0.9922 0.5119
Nb 0.0031 0.4776 0.9885
O 0.2981 0.2967 0.9601
O 0.7200 0.7352 0.0527
O 0.8026 0.2087 0.0543
O 0.9185 0.4884 0.7472
O 0.2911 0.3012 0.5376
O 0.7241 0.7322 0.4479
O 0.2056 0.8030 0.9753
O 0.0776 0.5310 0.2533
O 0.8047 0.2112 0.4467
O 0.5699 0.9844 0.7533
O 0.4016 0.0282 0.2463
O 0.2033 0.8013 0.5262
Na 0.4903 0.5291 0.7487
Na 0.5087 0.4640 0.2500
Na 0.0037 0.0205 0.7497
Dy 0.9905 0.9365 0.2502
! Size of the total moment in μB/f.u.: 0.0

Which one sits at the bottom of the stability order? Q does.

P | ! NaDy3Ti2Sb2O14, optimized geometry, DFT PBE-GGA; values from VASP
&SYSTEM
  ibrav = 0, nat = 44, ntyp = 5
/
ATOMIC_SPECIES
O 16.00 O.upf
Dy 162.50 Dy.upf
Ti 47.87 Ti.upf
Na 22.99 Na.upf
Sb 121.76 Sb.upf
CELL_PARAMETERS angstrom
-1.2218 -5.2668 -4.8908
6.4332 -3.0392 1.6657
1.7935 -8.7076 8.9290
ATOMIC_POSITIONS crystal
O 0.2698 0.3236 0.1759
O 0.5535 0.9241 0.8788
O 0.5432 0.6744 0.6227
O 0.7494 0.0780 0.4211
O 0.7494 0.9220 0.0789
O 0.9516 0.0568 0.6332
O 0.0427 0.6689 0.1294
O 0.2506 0.0780 0.9211
O 0.4465 0.9241 0.3788
O 0.9573 0.6689 0.6294
O 0.7302 0.3236 0.6759
O 0.5535 0.0759 0.6212
O 0.2636 0.3652 0.6327
O 0.2636 0.6348 0.8673
O 0.2506 0.9220 0.5789
O 0.0484 0.9432 0.3668
O 0.4465 0.0759 0.1212
O 0.0484 0.0568 0.1332
O 0.9573 0.3311 0.8706
O 0.4568 0.6744 0.1227
O 0.0427 0.3311 0.3706
O 0.9516 0.9432 0.8668
O 0.7364 0.6348 0.3673
O 0.7302 0.6764 0.8241
O 0.7364 0.3652 0.1327
O 0.4568 0.3256 0.3773
O 0.5432 0.3256 0.8773
O 0.2698 0.6764 0.3241
Dy 0.2458 0.5000 0.7500
Dy 0.7733 0.0000 0.2500
Dy 0.7542 0.5000 0.2500
Dy 0.2267 0.0000 0.7500
Dy 0.5000 0.5000 0.5000
Dy 0.5000 0.5000 0.0000
Ti 0.5000 0.0000 0.5000
Ti 0.2630 0.0000 0.2500
Ti 0.7370 0.0000 0.7500
Ti 0.5000 0.0000 0.0000
Na 0.0000 0.5000 0.5000
Na 0.0000 0.5000 0.0000
Sb 0.7454 0.5000 0.7500
Sb 0.0000 0.0000 0.0000
Sb 0.2546 0.5000 0.2500
Sb 0.0000 0.0000 0.5000
! Size of the total moment in μB/f.u.: 0.0

Q | ! NaDy3Ti2Sb2O14, optimized geometry, DFT PBE-GGA; values from VASP
&SYSTEM
  ibrav = 0, nat = 22, ntyp = 5
/
ATOMIC_SPECIES
O 16.00 O.upf
Dy 162.50 Dy.upf
Sb 121.76 Sb.upf
Na 22.99 Na.upf
Ti 47.87 Ti.upf
CELL_PARAMETERS angstrom
3.6786 6.2596 0.0000
-3.6786 6.2596 0.0000
0.0000 4.0954 5.9344
ATOMIC_POSITIONS crystal
O 0.4366 0.8235 0.8247
O 0.5787 0.1740 0.5791
O 0.8235 0.4366 0.8247
O 0.8668 0.8668 0.8693
O 0.1765 0.5634 0.1753
O 0.8306 0.8306 0.4271
O 0.4279 0.4279 0.8198
O 0.1694 0.1694 0.5729
O 0.5721 0.5721 0.1802
O 0.5634 0.1765 0.1753
O 0.4213 0.8260 0.4209
O 0.1332 0.1332 0.1307
O 0.8260 0.4213 0.4209
O 0.1740 0.5787 0.5791
Dy 0.0000 0.0000 0.5000
Dy 0.5000 0.0000 0.0000
Dy 0.0000 0.5000 0.0000
Sb 0.0000 0.5000 0.5000
Sb 0.5000 0.0000 0.5000
Na 0.0000 0.0000 0.0000
Ti 0.5000 0.5000 0.0000
Ti 0.5000 0.5000 0.5000
! Size of the total moment in μB/f.u.: 0.0

Which one sits at the bottom of the stability order? Q does.

P | ! Dy2Ni7, optimized geometry, DFT PBE-GGA; values from VASP
&SYSTEM
  ibrav = 0, nat = 18, ntyp = 2
/
ATOMIC_SPECIES
Dy 162.50 Dy.upf
Ni 58.69 Ni.upf
CELL_PARAMETERS angstrom
12.1106 -2.4609 0.0000
12.1106 2.4609 0.0000
11.6106 0.0000 4.2330
ATOMIC_POSITIONS crystal
Dy 0.1473 0.1473 0.1473
Dy 0.9493 0.9493 0.9493
Dy 0.8527 0.8527 0.8527
Dy 0.0507 0.0507 0.0507
Ni 0.5000 0.0000 0.5000
Ni 0.3898 0.8911 0.3898
Ni 0.6102 0.1089 0.6102
Ni 0.5000 0.5000 0.5000
Ni 0.3898 0.3898 0.8911
Ni 0.8911 0.3898 0.3898
Ni 0.6102 0.6102 0.1089
Ni 0.3883 0.3883 0.3883
Ni 0.7219 0.7219 0.7219
Ni 0.2781 0.2781 0.2781
Ni 0.0000 0.5000 0.5000
Ni 0.1089 0.6102 0.6102
Ni 0.5000 0.5000 0.0000
Ni 0.6117 0.6117 0.6117
! Size of the total moment in μB/f.u.: 2.1

Q | ! Dy2Ni7, optimized geometry, DFT PBE-GGA; values from VASP
&SYSTEM
  ibrav = 0, nat = 36, ntyp = 2
/
ATOMIC_SPECIES
Ni 58.69 Ni.upf
Dy 162.50 Dy.upf
CELL_PARAMETERS angstrom
-2.8077 3.6848 -1.7078
-0.4314 -1.4598 4.6968
16.8944 15.8800 6.4873
ATOMIC_POSITIONS crystal
Ni 0.8328 0.1672 0.0852
Ni 0.0000 0.0000 0.8325
Ni 0.3333 0.6667 0.6672
Ni 0.1672 0.8328 0.5852
Ni 0.6667 0.3333 0.1672
Ni 0.8332 0.6665 0.2500
Ni 0.1672 0.8328 0.9148
Ni 0.8328 0.6655 0.4148
Ni 0.8328 0.1672 0.4148
Ni 0.6655 0.8328 0.9148
Ni 0.6665 0.8332 0.7500
Ni 0.1672 0.3345 0.9148
Ni 0.0000 0.0000 0.1675
Ni 0.6667 0.3333 0.3328
Ni 0.3345 0.1672 0.0852
Ni 0.3333 0.6667 0.8328
Ni 0.3335 0.1668 0.2500
Ni 0.0000 0.0000 0.3325
Ni 0.0000 0.0000 0.6675
Ni 0.1672 0.3345 0.5852
Ni 0.3345 0.1672 0.4148
Ni 0.0000 0.0000 0.0000
Ni 0.6655 0.8328 0.5852
Ni 0.1668 0.8332 0.7500
Ni 0.8328 0.6655 0.0852
Ni 0.8332 0.1668 0.2500
Ni 0.1668 0.3335 0.7500
Ni 0.0000 0.0000 0.5000
Dy 0.6667 0.3333 0.6735
Dy 0.3333 0.6667 0.3265
Dy 0.3333 0.6667 0.0292
Dy 0.3333 0.6667 0.1735
Dy 0.6667 0.3333 0.5292
Dy 0.3333 0.6667 0.4708
Dy 0.6667 0.3333 0.8265
Dy 0.6667 0.3333 0.9708
! Size of the total moment in μB/f.u.: 1.4

Which one sits at the bottom of the stability order? Q does.